# 1
This record from the Materials Project database describes a relaxed structure of KGaAs2O7. The functional is PBE-GGA.

Cell: 6.3892 6.4828 8.3541 Å, 96.53 103.90 103.70°
Fractional coordinates of all 22 atoms:
As 0.5175 0.2542 0.1653
K 0.0000 0.5000 0.5000
Ga 0.6249 0.8089 0.2751
Ga 0.3751 0.1911 0.7249
O 0.3347 0.7883 0.3302
O 0.2072 0.1529 0.4799
O 0.6653 0.2117 0.6698
O 0.6908 0.1247 0.2784
O 0.3092 0.8753 0.7216
O 0.5549 0.2628 0.9711
O 0.5740 0.4989 0.2874
O 0.4451 0.7372 0.0289
O 0.7692 0.8841 0.8527
As 0.4825 0.7458 0.8347
O 0.7928 0.8471 0.5201
As 0.1748 0.9662 0.3103
As 0.8252 0.0338 0.6897
O 0.0906 0.1973 0.7812
K 0.0000 0.5000 0.0000
O 0.9094 0.8027 0.2188
O 0.4260 0.5011 0.7126
O 0.2308 0.1159 0.1473

Calculated values
Magnetization, μB/f.u.: 0.00
ΔE_f, eV/atom: -1.943
E (MP2020), eV per atom: -6.315
Density, Mg/m³: 3.835

---

# 2
This record from the Materials Project database describes a relaxed structure of Na2LiGaAs2. The functional is PBE-GGA.

Cell: 9.3352 9.3352 5.9222 Å, 90.00 90.00 98.67°
Fractional coordinates of all 24 atoms:
Ga 0.3686 0.3686 0.0000
Na 0.4278 0.0722 0.2500
As 0.3572 0.1428 0.7500
Na 0.8241 0.1759 0.2206
Ga 0.6314 0.6314 0.0000
Na 0.0722 0.4278 0.7500
Na 0.6759 0.3241 0.7206
As 0.6428 0.8572 0.2500
Li 0.8806 0.8806 0.0000
Na 0.9278 0.5722 0.2500
As 0.1428 0.3572 0.2500
As 0.8572 0.6428 0.7500
Li 0.3806 0.3806 0.5000
As 0.8931 0.1069 0.7186
As 0.1069 0.8931 0.2814
Na 0.5722 0.9278 0.7500
Li 0.1194 0.1194 0.0000
Ga 0.8686 0.8686 0.5000
Na 0.1759 0.8241 0.7794
As 0.6069 0.3931 0.2186
Li 0.6194 0.6194 0.5000
Ga 0.1314 0.1314 0.5000
As 0.3931 0.6069 0.7814
Na 0.3241 0.6759 0.2794

Calculated values
Magnetization, μB/f.u.: 0.00
ΔE_f, eV/atom: -0.559
Density, Mg/m³: 3.547

---

# 3
This record from the Materials Project database describes a relaxed structure of Na6GaAs3. The functional is PBE-GGA.

Cell: 8.4047 8.3506 16.3688 Å, 94.12 95.86 119.61°
Fractional coordinates of all 40 atoms:
Na 0.7062 0.8459 0.1975
As 0.6038 0.1037 0.8974
As 0.4649 0.3234 0.4001
Na 0.5582 0.0538 0.7070
Na 0.8162 0.6555 0.5048
Na 0.1408 0.9693 0.4198
Na 0.6278 0.7454 0.7964
As 0.9938 0.1798 0.1194
Na 0.9216 0.4339 0.8125
Na 0.3545 0.1583 0.9976
Na 0.3754 0.2515 0.2026
Na 0.3104 0.5086 0.0625
Na 0.2117 0.4459 0.6892
Na 0.2891 0.1574 0.8005
Ga 0.5292 0.3541 0.5920
Na 0.7875 0.5725 0.3056
Ga 0.7038 0.2013 0.0921
Na 0.4393 0.9475 0.3018
Na 0.3609 0.8547 0.5308
Na 0.2002 0.3585 0.5005
Na 0.0210 0.8385 0.0710
Na 0.7894 0.2791 0.4405
Na 0.0788 0.5658 0.1885
As 0.6924 0.4983 0.1199
Na 0.9715 0.7610 0.6948
As 0.3077 0.5029 0.8793
Ga 0.2955 0.7987 0.9088
As 0.2285 0.0820 0.6147
Na 0.8479 0.0317 0.5777
As 0.3961 0.8974 0.1048
Na 0.6452 0.8423 0.0017
As 0.7652 0.9156 0.3821
As 0.8361 0.3734 0.6261
Na 0.9788 0.1608 0.9283
As 0.1542 0.6128 0.3730
Ga 0.4702 0.6339 0.4044
Na 0.0420 0.2339 0.3010
As 0.5424 0.6715 0.6025
Na 0.6880 0.4920 0.9369
As 0.0066 0.8202 0.8790

Calculated values
Magnetization, μB/f.u.: 0.00
ΔE_f, eV/atom: -0.414
Density, Mg/m³: 2.920

---

# 4
This record from the Materials Project database describes a relaxed structure of Ga2AsP. The functional is PBE-GGA.

Cell: 6.8788 6.8788 6.8788 Å, 33.59 33.59 33.59°
Fractional coordinates of all 4 atoms:
Ga 0.5025 0.5025 0.5025
P 0.6249 0.6249 0.6249
Ga 0.9976 0.9976 0.9976
As 0.1250 0.1250 0.1250

Calculated values
ΔE_f, eV/atom: -0.365
Density, Mg/m³: 4.590

---

# 5
This record from the Materials Project database describes a relaxed structure of GaAsPd5. The functional is PBE-GGA.

Cell: 3.9916 3.9916 6.9805 Å, 90.00 90.00 90.00°
Fractional coordinates of all 7 atoms:
Ga 0.5000 0.5000 0.0000
Pd 0.0000 0.0000 0.0000
Pd 0.0000 0.5000 0.2797
Pd 0.0000 0.5000 0.7203
Pd 0.5000 0.0000 0.7203
As 0.0000 0.0000 0.5000
Pd 0.5000 0.0000 0.2797

Calculated values
ΔE_f, eV/atom: -0.495
Density, Mg/m³: 10.104

---

# 6
This record from the Materials Project database describes a relaxed structure of GaReAs. The functional is PBE-GGA.

Cell: 4.2545 4.2545 4.2545 Å, 60.00 60.00 60.00°
Fractional coordinates of all 3 atoms:
As 0.5000 0.5000 0.5000
Ga 0.7500 0.7500 0.7500
Re 0.0000 0.0000 0.0000

Calculated values
Magnetization, μB/f.u.: 0.01
ΔE_f, eV/atom: 0.990
Density, Mg/m³: 10.089

---

# 7
This record from the Materials Project database describes a relaxed structure of Sr14GaAs11. The functional is PBE-GGA.

Cell: 16.2044 16.2044 16.2044 Å, 61.75 61.74 93.05°
Fractional coordinates of all 104 atoms:
As 0.5727 0.1765 0.3443
Sr 0.9731 0.1183 0.4014
As 0.3150 0.1941 0.6140
As 0.4793 0.3235 0.1038
As 0.8629 0.1128 0.2742
Sr 0.3730 0.7581 0.0253
As 0.1919 0.3059 0.3791
As 0.4273 0.8223 0.6570
As 0.1780 0.5727 0.8433
As 0.0207 0.9157 0.1570
As 0.9945 0.7445 0.0110
As 0.1841 0.5710 0.1211
Sr 0.0225 0.7485 0.4174
Sr 0.7507 0.1017 0.6506
As 0.9273 0.5843 0.3950
As 0.8238 0.4273 0.1561
As 0.3238 0.4799 0.6035
Sr 0.2166 0.7419 0.8851
Sr 0.6644 0.4375 0.0854
Ga 0.1249 0.3749 0.2503
Ga 0.3748 0.1251 0.7500
Sr 0.3823 0.4813 0.1469
As 0.0727 0.4170 0.6038
Sr 0.0289 0.8822 0.5995
Sr 0.9803 0.6255 0.9014
As 0.6841 0.8052 0.3869
As 0.8079 0.6948 0.6211
Sr 0.5225 0.9399 0.7260
As 0.6919 0.0710 0.1140
Sr 0.6257 0.9806 0.4009
As 0.9287 0.3083 0.3870
Sr 0.8719 0.4708 0.6469
Sr 0.5938 0.7124 0.0340
As 0.5093 0.4909 0.2500
Sr 0.2418 0.6271 0.4751
Sr 0.2537 0.7876 0.6185
Sr 0.5609 0.3353 0.4150
Sr 0.0184 0.3717 0.0995
Sr 0.3978 0.2831 0.9751
Sr 0.9000 0.2500 0.8500
As 0.6129 0.3872 0.7499
Sr 0.6279 0.2462 0.9665
Sr 0.5289 0.1283 0.8533
Ga 0.6249 0.8751 0.2500
Sr 0.8341 0.7515 0.2260
Sr 0.1644 0.2498 0.7731
As 0.1129 0.8629 0.7742
As 0.6780 0.5213 0.3947
Sr 0.2513 0.9787 0.0831
As 0.0093 0.2593 0.9816
Sr 0.7873 0.2538 0.1184
Sr 0.8978 0.8729 0.8853
As 0.7445 0.9945 0.5110
Sr 0.2873 0.4057 0.4665
Sr 0.2477 0.3983 0.8511
Sr 0.4000 0.2500 0.3500
As 0.8150 0.4290 0.8791
As 0.1938 0.3153 0.1140
As 0.9793 0.0830 0.8443
Sr 0.4771 0.0625 0.2731
As 0.8048 0.6844 0.8870
Sr 0.7477 0.5987 0.1506
Sr 0.2507 0.9013 0.3511
As 0.2445 0.7555 0.2500
Sr 0.0609 0.4759 0.7744
Sr 0.4803 0.3817 0.6452
Sr 0.7166 0.6017 0.5253
Sr 0.7537 0.3722 0.5340
Sr 0.1257 0.5266 0.3550
Sr 0.2496 0.1647 0.2744
As 0.4945 0.5055 0.7500
As 0.6938 0.8078 0.1215
Sr 0.8730 0.8983 0.3851
As 0.2592 0.0091 0.4816
As 0.5707 0.1847 0.6215
As 0.9166 0.0201 0.6561
Sr 0.7496 0.0241 0.9150
As 0.0840 0.9787 0.3433
As 0.7592 0.2407 0.7500
Sr 0.6184 0.5194 0.8550
As 0.4287 0.8156 0.3796
Sr 0.4383 0.6657 0.5831
As 0.4166 0.0727 0.1035
Sr 0.6005 0.7500 0.6495
As 0.3048 0.1917 0.8796
As 0.0707 0.6922 0.6140
Ga 0.8748 0.6249 0.7503
Sr 0.1184 0.9734 0.9009
Sr 0.3341 0.5601 0.9174
Sr 0.5184 0.6178 0.3533
As 0.5840 0.9273 0.8947
Sr 0.1005 0.7500 0.1495
Sr 0.4731 0.8745 0.1452
As 0.3079 0.9290 0.8869
Sr 0.9771 0.2502 0.5854
Sr 0.0938 0.1278 0.1185
Sr 0.7513 0.8343 0.7274
Sr 0.7418 0.2169 0.3853
Sr 0.9383 0.5213 0.2274
As 0.5207 0.6777 0.8950
As 0.3629 0.6371 0.2499
Sr 0.3719 0.0187 0.5990
Sr 0.1279 0.0943 0.6184
Sr 0.8823 0.0292 0.0990

Calculated values
ΔE_f, eV/atom: -1.104
Density, Mg/m³: 4.568

---

# 8
This record from the Materials Project database describes a relaxed structure of Ga3Te3As. The functional is PBE-GGA.

Cell: 4.1534 6.0455 16.8355 Å, 90.00 90.00 90.00°
Fractional coordinates of all 14 atoms:
Ga 0.0000 0.0076 0.5559
Ga 0.5000 0.4831 0.6842
Te 0.5000 0.2335 0.8100
As 0.0000 0.7482 0.4393
Te 0.0000 0.7675 0.6907
Ga 0.0000 0.9897 0.0669
Ga 0.5000 0.4897 0.9331
Te 0.0000 0.7335 0.1900
As 0.5000 0.2482 0.5607
Ga 0.0000 0.9831 0.3158
Te 0.5000 0.2704 0.0706
Te 0.0000 0.7704 0.9294
Te 0.5000 0.2675 0.3093
Ga 0.5000 0.5076 0.4441

Calculated values
E above lowest polymorph, meV per atom: 4
Magnetization, μB/f.u.: 0.00
ΔE_f, eV/atom: -0.303
Density, Mg/m³: 5.239

---

# 9
This record from the Materials Project database describes a relaxed structure of Ga3Te3As. The functional is PBE-GGA.

Cell: 4.1721 7.2665 7.3081 Å, 81.41 90.00 73.32°
Fractional coordinates of all 7 atoms:
Te 0.8047 0.3905 0.9663
Ga 0.4969 0.0063 0.5169
Ga 0.9980 0.0040 0.9834
Te 0.3091 0.3818 0.4186
Te 0.5739 0.8522 0.1919
As 0.0665 0.8670 0.6857
Ga 0.2509 0.4982 0.7371

Calculated values
E above lowest polymorph, meV per atom: 0
Magnetization, μB/f.u.: 0.00
ΔE_f, eV/atom: -0.307
Density, Mg/m³: 5.283

---

# 10
This record from the Materials Project database describes a relaxed structure of GdAs. The functional is PBE-GGA.

Cell: 4.1699 4.1699 4.1699 Å, 60.00 60.00 60.00°
Fractional coordinates of all 2 atoms:
As 0.0000 0.0000 0.0000
Gd 0.5000 0.5000 0.5000

Calculated values
ΔE_f, eV/atom: -1.533
Density, Mg/m³: 7.520

---

# 11
This record from the Materials Project database describes a relaxed structure of K3GdAs2S8. The functional is PBE-GGA.

Cell: 9.0089 10.2066 10.9014 Å, 107.46 102.87 114.01°
Fractional coordinates of all 28 atoms:
S 0.6381 0.2654 0.0246
S 0.8152 0.8746 0.3474
S 0.8865 0.7592 0.0246
As 0.0071 0.9048 0.2479
K 0.4880 0.7380 0.4759
K 0.5120 0.2620 0.5241
As 0.9929 0.0952 0.7521
K 0.0000 0.5000 0.0000
K 0.7450 0.9950 0.9900
S 0.0322 0.4727 0.3474
K 0.5000 0.5000 0.0000
K 0.2550 0.0050 0.0100
S 0.6559 0.1328 0.2915
S 0.7969 0.1425 0.6436
S 0.6533 0.4989 0.3564
S 0.8644 0.8413 0.7085
S 0.1848 0.1254 0.6526
S 0.3619 0.7346 0.9754
S 0.3467 0.5011 0.6436
S 0.1356 0.1587 0.2915
S 0.2031 0.8575 0.3564
Gd 0.0069 0.7569 0.5139
Gd 0.9931 0.2431 0.4861
As 0.7408 0.3431 0.2479
As 0.2592 0.6569 0.7521
S 0.1135 0.2408 0.9754
S 0.3441 0.8672 0.7085
S 0.9678 0.5273 0.6526

Calculated values
Magnetization, μB/f.u.: 0.00
ΔE_f, eV/atom: -1.193
E (MP2020), eV per atom: -5.465
Density, Mg/m³: 2.819

---

# 12
This record from the Materials Project database describes a relaxed structure of GdNiAs. The functional is PBE-GGA.

Cell: 4.0867 4.0867 3.8981 Å, 90.00 90.00 120.00°
Fractional coordinates of all 3 atoms:
As 0.0000 0.0000 0.0000
Gd 0.3333 0.6667 0.5000
Ni 0.6667 0.3333 0.0000

Calculated values
ΔE_f, eV/atom: -1.055
Density, Mg/m³: 8.567

---

# 13
This record from the Materials Project database describes a relaxed structure of Gd5As2O12. The functional is PBE-GGA.

Cell: 6.8970 6.8970 7.3788 Å, 74.47 74.47 51.11°
Fractional coordinates of all 19 atoms:
O 0.0962 0.5979 0.5760
O 0.4205 0.8963 0.9211
Gd 0.0000 0.0000 0.5000
O 0.0006 0.0006 0.8271
O 0.5795 0.1037 0.0789
O 0.5979 0.0962 0.5760
O 0.9994 0.9994 0.1729
As 0.2427 0.7573 0.0000
Gd 0.3042 0.3042 0.8341
O 0.8963 0.4205 0.9211
Gd 0.3031 0.3031 0.3602
Gd 0.6958 0.6958 0.1659
O 0.5004 0.5004 0.1759
O 0.9038 0.4021 0.4240
O 0.4021 0.9038 0.4240
O 0.1037 0.5795 0.0789
As 0.7573 0.2427 0.0000
O 0.4996 0.4996 0.8241
Gd 0.6969 0.6969 0.6398

Calculated values
Magnetization, μB/f.u.: 20.83
ΔE_f, eV/atom: -3.161
E (MP2020), eV per atom: -10.481
Density, Mg/m³: 7.180

---

# 14
This record from the Materials Project database describes a relaxed structure of Gd3As5O12. The functional is PBE-GGA.

Cell: 9.3047 9.3047 9.3047 Å, 109.47 109.47 109.47°
Fractional coordinates of all 40 atoms:
O 0.4823 0.0000 0.2973
O 0.5250 0.8083 0.0000
O 0.7027 0.7027 0.1850
O 0.7027 0.1850 0.7027
O 0.4750 0.2833 0.4750
O 0.2973 0.0000 0.4823
O 0.2973 0.4823 0.0000
Gd 0.2500 0.5000 0.7500
O 0.8083 0.5250 0.0000
Gd 0.7500 0.5000 0.2500
As 0.5041 0.0000 0.0000
As 0.2874 0.0000 0.2874
As 0.7126 0.7126 0.0000
O 0.1917 0.1917 0.7167
Gd 0.5000 0.7500 0.2500
O 0.2833 0.4750 0.4750
O 0.8150 0.5177 0.5177
Gd 0.5000 0.2500 0.7500
O 0.4750 0.4750 0.2833
As 0.2874 0.2874 0.0000
O 0.0000 0.8083 0.5250
O 0.0000 0.2973 0.4823
O 0.5250 0.0000 0.8083
O 0.8083 0.0000 0.5250
As 0.0000 0.7126 0.7126
O 0.0000 0.4823 0.2973
Gd 0.7500 0.2500 0.5000
As 0.0000 0.0000 0.5041
As 0.4959 0.4959 0.4959
As 0.0000 0.2874 0.2874
O 0.1917 0.7167 0.1917
O 0.7167 0.1917 0.1917
Gd 0.2500 0.7500 0.5000
O 0.5177 0.8150 0.5177
O 0.4823 0.2973 0.0000
O 0.5177 0.5177 0.8150
As 0.0000 0.5041 0.0000
As 0.7126 0.0000 0.7126
O 0.1850 0.7027 0.7027
O 0.0000 0.5250 0.8083

Calculated values
ΔE_f, eV/atom: -2.535
E (MP2020), eV per atom: -8.780
Density, Mg/m³: 5.561